[1]
## Na10Ta2Ga6Si7S5O48 (GGA-PBE)

Data for a relaxed structure of Na10Ta2Ga6Si7S5O48.

Values from the calculation:
As for the space group: No. 1.

Cell: 17.765 8.824 22.229 Å, 90.09 90.17 119.83°
Fractional positions:
O: 0.093 0.026 0.593
Ga: 0.831 0.341 0.988
Si: 0.830 0.040 0.079
Ga: 0.999 0.006 0.850
O: 0.937 0.362 0.638
O: 0.925 0.549 0.028
O: 0.852 0.164 0.019
S: 0.476 0.619 0.083
O: 0.578 0.696 0.471
O: 0.916 0.847 0.908
Na: 0.657 0.977 0.083
O: 0.773 0.845 0.469
O: 0.769 0.699 0.254
O: 0.988 0.801 0.089
O: 0.819 0.505 0.645
Na: 0.167 0.026 0.419
O: 0.759 0.835 0.759
O: 0.253 0.136 0.642
O: 0.435 0.504 0.422
O: 0.235 0.293 0.023
Si: 0.514 0.369 0.921
O: 0.244 0.357 0.419
O: 0.242 0.370 0.143
O: 0.584 0.965 0.194
O: 0.845 0.182 0.743
Na: 0.173 0.677 0.665
O: 0.940 0.516 0.138
O: 0.922 0.298 0.529
O: 0.062 0.488 0.862
S: 0.978 0.620 0.084
Si: 0.693 0.341 0.085
Na: 0.998 0.997 0.497
Si: 0.332 0.043 0.084
O: 0.414 0.995 0.408
O: 0.740 0.850 0.073
O: 0.169 0.840 0.582
S: 0.502 0.297 0.250
O: 0.078 0.469 0.971
S: 0.664 0.954 0.918
Na: 0.818 0.633 0.747
O: 0.564 0.648 0.078
O: 0.581 0.469 0.254
Ta: 0.003 0.017 0.143
O: 0.424 0.312 0.242
O: 0.678 0.871 0.863
O: 0.732 0.166 0.522
O: 0.672 0.838 0.572
O: 0.900 0.970 0.411
O: 0.319 0.509 0.922
Ga: 0.004 0.002 0.348
O: 0.015 0.206 0.914
O: 0.015 0.197 0.194
O: 0.399 0.827 0.912
Ga: 0.327 0.326 0.487
O: 0.514 0.824 0.413
O: 0.098 0.163 0.811
O: 0.655 0.482 0.754
Ga: 0.181 0.706 0.520
O: 0.067 0.650 0.076
Si: 0.665 0.381 0.416
O: 0.437 0.512 0.138
O: 0.158 0.493 0.759
O: 0.178 0.862 0.862
Na: 0.318 0.002 0.247
S: 0.165 0.949 0.916
S: 0.023 0.382 0.918
Ga: 0.321 0.327 0.184
O: 0.754 0.633 0.857
O: 0.752 0.359 0.420
O: 0.095 0.158 0.087
O: 0.915 0.012 0.090
O: 0.313 0.511 0.642
S: 0.354 0.003 0.751
Ta: 0.503 0.988 0.643
Ta: 0.499 0.993 0.148
Si: 0.018 0.661 0.420
O: 0.922 0.489 0.423
O: 0.899 0.825 0.198
O: 0.922 0.817 0.592
Na: 0.840 0.341 0.832
O: 0.089 0.472 0.258
S: 0.166 0.376 0.418
O: 0.271 0.699 0.969
O: 0.593 0.160 0.093
Na: 0.665 0.307 0.919
Na: 0.336 0.347 0.333
O: 0.911 0.035 0.813
Ta: 0.662 0.649 0.812
Si: 0.645 0.994 0.256
O: 0.421 0.025 0.092
O: 0.976 0.156 0.309
O: 0.581 0.460 0.978
S: 0.855 0.706 0.250
Ga: 0.322 0.338 0.687
O: 0.317 0.127 0.146
Ga: 0.821 0.313 0.684
O: 0.741 0.164 0.248
Na: 0.654 0.336 0.580
O: 0.604 0.166 0.810
O: 0.725 0.289 0.023
O: 0.260 0.642 0.860
O: 0.754 0.373 0.142
Na: 0.158 0.337 0.583
O: 0.486 0.188 0.304
Na: 0.999 0.999 0.996
S: 0.313 0.667 0.916
O: 0.008 0.840 0.410
Na: 0.316 0.626 0.749
Si: 0.692 0.036 0.579
O: 0.670 0.498 0.081
O: 0.407 0.029 0.806
Ga: 0.664 0.665 0.316
O: 0.082 0.704 0.478
Si: 0.995 0.290 0.253
S: 0.521 0.664 0.418
Ga: 0.500 0.994 0.353
O: 0.436 0.358 0.637
O: 0.935 0.360 0.921
O: 0.400 0.835 0.194
O: 0.859 0.552 0.525
O: 0.587 0.977 0.912
O: 0.105 0.041 0.310
O: 0.243 0.168 0.246
O: 0.685 0.513 0.358
Si: 0.318 0.967 0.417
O: 0.659 0.820 0.259
Na: 0.815 0.005 0.248
Na: 0.334 0.330 0.833
O: 0.240 0.628 0.574
O: 0.568 0.496 0.861
O: 0.413 0.511 0.742
Na: 0.849 0.660 0.416
O: 0.588 0.704 0.759
O: 0.901 0.965 0.695
Si: 0.330 0.619 0.580
O: 0.423 0.549 0.029
O: 0.744 0.633 0.579
O: 0.822 0.134 0.423
O: 0.760 0.886 0.361
Ga: 0.332 0.314 0.981
Na: 0.484 0.296 0.419
O: 0.925 0.537 0.743
O: 0.241 0.317 0.748
O: 0.566 0.487 0.579
O: 0.243 0.855 0.076
O: 0.653 0.850 0.972
O: 0.155 0.826 0.253
O: 0.742 0.112 0.643
O: 0.353 0.536 0.523
Ga: 0.499 0.007 0.848
O: 0.087 0.197 0.412
Na: 0.018 0.698 0.576
O: 0.084 0.969 0.190
Na: 0.155 0.975 0.081
Si: 0.194 0.345 0.079
Na: 0.685 0.005 0.747
O: 0.415 0.819 0.590
O: 0.488 0.175 0.589
O: 0.906 0.784 0.307
Ga: 0.176 0.667 0.021
O: 0.912 0.314 0.242
Na: 0.672 0.668 0.165
Si: 0.833 0.622 0.585
O: 0.064 0.480 0.578
S: 0.477 0.335 0.584
Ga: 0.164 0.654 0.817
O: 0.173 0.503 0.074
O: 0.244 0.124 0.919
O: 0.512 0.180 0.910
O: 0.778 0.719 0.971
O: 0.427 0.304 0.527
O: 0.847 0.536 0.244
O: 0.417 0.801 0.310
Si: 0.822 0.669 0.916
Na: 0.166 0.656 0.162
O: 0.083 0.698 0.757
O: 0.267 0.840 0.756
O: 0.223 0.158 0.523
O: 0.420 0.360 0.923
Ga: 0.672 0.667 0.521
O: 0.153 0.455 0.472
Na: 0.491 0.997 0.995
Ga: 0.822 0.307 0.187
O: 0.814 0.119 0.141
Si: 0.145 0.002 0.250
O: 0.395 0.967 0.697
Si: 0.644 0.284 0.750
Na: 0.186 0.366 0.247
Ta: 0.000 0.005 0.648
Na: 0.517 0.336 0.076
Na: 0.667 0.046 0.416
O: 0.584 0.199 0.690
Ga: 0.829 0.350 0.480
O: 0.153 0.844 0.972
O: 0.275 0.844 0.474
O: 0.579 0.185 0.411
O: 0.087 0.965 0.911
Si: 0.358 0.702 0.253
Na: 0.491 0.984 0.496
O: 0.985 0.788 0.804
Si: 0.857 0.013 0.753
O: 0.360 0.174 0.027
O: 0.476 0.797 0.809
O: 0.515 0.210 0.195
O: 0.986 0.170 0.589
S: 0.814 0.961 0.416
O: 0.745 0.129 0.919
O: 0.260 0.684 0.259
Ga: 0.681 0.654 0.018
O: 0.822 0.484 0.923
Si: 0.495 0.701 0.754
O: 0.594 0.029 0.588
O: 0.742 0.317 0.746
O: 0.515 0.834 0.694
O: 0.016 0.819 0.695
O: 0.177 0.483 0.362
Si: 0.192 0.043 0.585
O: 0.347 0.159 0.744
O: 0.601 0.027 0.314
O: 0.346 0.509 0.243
O: 0.084 0.203 0.693
O: 0.325 0.163 0.423
S: 0.003 0.709 0.751
Ta: 0.164 0.674 0.312
O: 0.069 0.640 0.360
Na: 0.851 0.030 0.920
S: 0.975 0.332 0.583
O: 0.646 0.465 0.476
O: 0.560 0.633 0.362
Na: 0.666 0.676 0.662
Na: 0.835 0.339 0.331
O: 0.252 0.874 0.358
Si: 0.145 0.293 0.756
O: 0.487 0.803 0.090



[2]
## Na6TaGa3Si4S2O24 (GGA-PBE)

Data for a relaxed structure of Na6TaGa3Si4S2O24.

Values from the calculation:
As for the space group: No. 1.

Cell: 8.894 8.952 22.206 Å, 89.55 89.73 120.04°
Fractional positions:
O: 0.623 0.113 0.145
O: 0.820 0.967 0.407
Na: 0.297 0.952 0.088
O: 0.869 0.363 0.646
O: 0.013 0.812 0.413
S: 0.377 0.333 0.085
Na: 0.328 0.296 0.911
O: 0.511 0.366 0.423
O: 0.834 0.532 0.025
O: 0.637 0.494 0.924
O: 0.300 0.447 0.480
Si: 0.293 0.282 0.749
O: 0.029 0.827 0.687
O: 0.024 0.214 0.193
Ta: 0.327 0.664 0.814
Na: 0.674 0.964 0.577
O: 0.356 0.872 0.577
Si: 0.288 0.998 0.250
O: 0.868 0.507 0.422
S: 0.705 0.701 0.250
O: 0.293 0.841 0.979
Na: 0.002 0.020 0.495
O: 0.821 0.836 0.911
Si: 0.630 0.956 0.415
Na: 0.297 0.341 0.586
O: 0.851 0.029 0.092
O: 0.685 0.151 0.744
O: 0.689 0.530 0.244
O: 0.165 0.183 0.412
Ga: 0.343 0.684 0.318
Na: 0.972 0.681 0.914
Si: 0.004 0.719 0.749
Si: 0.048 0.369 0.920
Si: 0.670 0.633 0.584
O: 0.123 0.639 0.364
Ga: 0.678 0.363 0.687
O: 0.531 0.688 0.252
O: 0.785 0.814 0.195
Na: 0.653 0.320 0.828
O: 0.817 0.027 0.802
O: 0.540 0.839 0.476
O: 0.837 0.518 0.747
Ta: 0.672 0.333 0.476
O: 0.852 0.488 0.142
O: 0.319 0.485 0.756
Ga: 0.996 0.977 0.149
Si: 0.961 0.336 0.587
O: 0.828 0.305 0.529
O: 0.534 0.691 0.979
O: 0.371 0.514 0.360
Na: 0.327 0.662 0.663
Si: 0.668 0.034 0.087
S: 0.004 0.294 0.249
O: 0.515 0.884 0.355
O: 0.807 0.784 0.305
O: 0.365 0.861 0.860
Ga: 0.023 0.032 0.354
O: 0.502 0.637 0.859
O: 0.979 0.162 0.589
O: 0.489 0.172 0.245
O: 0.166 0.980 0.912
O: 0.652 0.151 0.425
O: 0.486 0.358 0.137
Ga: 0.660 0.314 0.185
O: 0.505 0.153 0.924
S: 0.381 0.047 0.584
O: 0.860 0.368 0.922
S: 0.709 0.001 0.749
O: 0.498 0.655 0.580
O: 0.465 0.157 0.528
Ga: 0.346 0.649 0.515
O: 0.176 0.691 0.754
O: 0.023 0.182 0.910
Na: 0.625 0.998 0.252
O: 0.842 0.307 0.246
Na: 0.639 0.626 0.751
Na: 0.032 0.335 0.084
Ga: 0.002 0.004 0.649
O: 0.359 0.487 0.080
O: 0.189 0.022 0.307
Si: 0.327 0.378 0.415
Si: 0.956 0.619 0.087
O: 0.147 0.635 0.081
Si: 0.335 0.958 0.919
S: 0.049 0.670 0.418
O: 0.489 0.310 0.743
O: 0.169 0.210 0.689
O: 0.202 0.176 0.087
O: 0.182 0.975 0.186
Ta: 0.680 0.334 0.978
O: 0.780 0.968 0.693
O: 0.696 0.531 0.526
O: 0.535 0.838 0.755
Na: 0.000 0.365 0.744
Na: 0.984 0.994 0.996
O: 0.146 0.688 0.474
Si: 0.627 0.676 0.919
O: 0.498 0.843 0.079
O: 0.149 0.516 0.578
O: 0.698 0.169 0.029
O: 0.208 0.036 0.586
O: 0.164 0.458 0.979
O: 0.624 0.509 0.643
O: 0.159 0.465 0.256
O: 0.315 0.825 0.256
Na: 0.690 0.672 0.412
O: 0.963 0.797 0.808
Ga: 0.011 0.998 0.855
O: 0.202 0.178 0.810
O: 0.847 0.823 0.588
Na: 0.319 0.671 0.170
Na: 0.030 0.698 0.587
O: 0.132 0.498 0.859
O: 0.459 0.308 0.029
O: 0.488 0.125 0.637
O: 0.973 0.811 0.088
Ga: 0.332 0.677 0.016
Na: 0.643 0.318 0.328
O: 0.966 0.178 0.302
Na: 0.667 0.707 0.078



[3]
## Na2TaGa3Si2S4O24 (GGA-PBE)

Data for a relaxed structure of Na2TaGa3Si2S4O24.

Values from the calculation:
As for the space group: No. 1.

Cell: 8.655 8.634 22.459 Å, 90.13 89.25 119.96°
Fractional positions:
O: 0.365 0.864 0.577
O: 0.197 0.022 0.588
Na: 0.679 0.337 0.332
Na: 0.323 0.660 0.160
O: 0.817 0.029 0.802
O: 0.819 0.303 0.246
O: 0.818 0.782 0.304
S: 0.379 0.044 0.582
O: 0.969 0.167 0.589
O: 0.171 0.475 0.258
O: 0.318 0.844 0.258
Si: 0.970 0.634 0.085
S: 0.666 0.628 0.583
O: 0.181 0.962 0.197
O: 0.818 0.852 0.905
O: 0.786 0.964 0.694
O: 0.876 0.510 0.143
Ta: 0.667 0.346 0.979
Ga: 0.995 0.994 0.350
S: 0.667 0.043 0.085
O: 0.028 0.817 0.693
O: 0.679 0.524 0.244
O: 0.020 0.198 0.909
Na: 0.000 0.987 0.999
O: 0.194 0.165 0.807
O: 0.692 0.155 0.031
O: 0.529 0.695 0.978
S: 0.378 0.335 0.087
O: 0.961 0.781 0.802
O: 0.843 0.488 0.424
O: 0.488 0.124 0.636
O: 0.504 0.645 0.576
O: 0.367 0.492 0.364
O: 0.698 0.548 0.529
O: 0.171 0.210 0.688
O: 0.530 0.842 0.754
O: 0.846 0.302 0.530
Na: 0.331 0.659 0.666
O: 0.174 0.202 0.412
O: 0.695 0.164 0.741
O: 0.163 0.984 0.912
Si: 0.286 0.282 0.749
O: 0.488 0.312 0.743
O: 0.867 0.362 0.923
Ga: 0.323 0.672 0.516
O: 0.500 0.631 0.859
S: 0.334 0.376 0.419
O: 0.785 0.819 0.197
O: 0.635 0.516 0.637
S: 0.622 0.956 0.418
O: 0.159 0.641 0.077
O: 0.461 0.157 0.528
O: 0.840 0.525 0.740
Si: 0.035 0.672 0.420
Na: 0.652 0.329 0.832
O: 0.362 0.864 0.857
Ga: 0.696 0.339 0.184
O: 0.544 0.843 0.473
O: 0.307 0.485 0.756
O: 0.512 0.871 0.365
O: 0.831 0.033 0.089
O: 0.632 0.132 0.425
S: 0.996 0.708 0.748
O: 0.162 0.707 0.476
O: 0.968 0.163 0.311
O: 0.363 0.495 0.078
Si: 0.985 0.266 0.249
O: 0.215 0.030 0.305
O: 0.160 0.692 0.754
S: 0.716 0.005 0.749
Ta: 0.314 0.654 0.311
O: 0.645 0.499 0.924
O: 0.124 0.490 0.863
O: 0.531 0.695 0.260
S: 0.046 0.375 0.918
O: 0.829 0.807 0.590
O: 0.036 0.192 0.190
O: 0.631 0.120 0.139
Ga: 0.018 0.998 0.857
O: 0.152 0.453 0.971
S: 0.293 0.008 0.249
Si: 0.629 0.683 0.920
Ga: 0.333 0.684 0.018
O: 0.136 0.492 0.578
O: 0.495 0.359 0.424
O: 0.801 0.977 0.412
Ga: 0.008 0.010 0.652
O: 0.979 0.828 0.091
O: 0.307 0.460 0.473
O: 0.510 0.864 0.080
O: 0.202 0.171 0.088
Ga: 0.001 0.001 0.144
O: 0.136 0.638 0.361
O: 0.294 0.836 0.975
S: 0.712 0.708 0.250
Na: 0.001 0.995 0.498
O: 0.462 0.305 0.030
Ga: 0.654 0.332 0.687
Si: 0.331 0.957 0.918
O: 0.837 0.532 0.027
S: 0.954 0.331 0.584
O: 0.487 0.357 0.139
O: 0.471 0.164 0.242
Ta: 0.343 0.665 0.815
O: 0.872 0.362 0.638
O: 0.021 0.849 0.407
O: 0.517 0.150 0.925
Ga: 0.679 0.342 0.481



| no. | DFT formation energy (eV per atom) |
| --- | --- |
| 1 | -2.49 |
| 2 | -2.53 |
| 3 | -2.31 |